Record 1
Entry from Materials Project: a geometry-optimized Li4Mn3SbO8 structure (GGA+U).

The structure in CIF format:
```
data_Li4Mn3SbO8
_cell_length_a 6.110
_cell_length_b 10.702
_cell_length_c 6.100
_cell_angle_alpha 88.88
_cell_angle_beta 118.51
_cell_angle_gamma 74.02
_symmetry_space_group_name_H-M 'P 1'
_symmetry_Int_Tables_number 1
loop_
_symmetry_equiv_pos_as_xyz
'x,y,z'
loop_
_atom_site_label
_atom_site_fract_x
_atom_site_fract_y
_atom_site_fract_z
O1 0.233 0.118 0.111
Li1 0.500 0.000 0.000
Mn1 0.499 0.251 0.750
Sb1 0.999 0.001 0.000
Li2 0.500 0.500 0.500
Mn2 0.000 0.251 0.250
O2 0.228 0.140 0.579
O3 0.774 0.859 0.418
Mn3 0.503 0.497 0.001
O4 0.768 0.117 0.124
Li3 0.999 0.751 0.250
O5 0.774 0.359 0.917
Li4 0.001 0.501 0.000
O6 0.226 0.385 0.846
O7 0.768 0.617 0.624
Li5 0.501 0.247 0.253
O8 0.768 0.382 0.390
O9 0.233 0.618 0.611
O10 0.768 0.882 0.890
Li6 0.001 0.001 0.500
Li7 0.501 0.747 0.753
Sb2 0.000 0.501 0.500
O11 0.230 0.885 0.876
O12 0.771 0.115 0.653
Mn4 0.503 0.997 0.501
O13 0.771 0.615 0.153
Mn5 0.000 0.751 0.749
O14 0.230 0.385 0.376
Mn6 0.499 0.751 0.250
Li8 0.999 0.251 0.750
O15 0.226 0.885 0.346
O16 0.228 0.640 0.079
```

Output
energy of formation from the pure elements: -2101 meV per atom
theoretical density: 4.43 g/cm³
total magnetic moment: 0.001 μB per formula unit

***

Record 2
Entry from Materials Project: a geometry-optimized Li3Mn4SbO8 structure (GGA+U).

The structure in CIF format:
```
data_Li3Mn4SbO8
_cell_length_a 6.211
_cell_length_b 6.211
_cell_length_c 6.367
_cell_angle_alpha 119.83
_cell_angle_beta 119.83
_cell_angle_gamma 61.98
_symmetry_space_group_name_H-M 'P 1'
_symmetry_Int_Tables_number 1
loop_
_symmetry_equiv_pos_as_xyz
'x,y,z'
loop_
_atom_site_label
_atom_site_fract_x
_atom_site_fract_y
_atom_site_fract_z
Li1 0.000 0.000 0.000
Li2 0.000 0.500 0.500
Li3 0.500 0.000 0.500
Mn1 0.000 0.000 0.500
Mn2 0.000 0.500 0.000
Mn3 0.500 0.000 0.000
Mn4 0.500 0.500 0.000
Sb1 0.500 0.500 0.500
O1 0.250 0.250 0.765
O2 0.266 0.266 0.267
O3 0.267 0.723 0.723
O4 0.277 0.733 0.277
O5 0.723 0.267 0.723
O6 0.733 0.277 0.277
O7 0.734 0.734 0.733
O8 0.750 0.750 0.235
```

Output
symmetry: C2/m, No. 12
energy of formation from the pure elements: -2045 meV per atom
theoretical density: 4.61 g/cm³
total magnetic moment: 19.997 μB per formula unit

***

Record 3
Entry from Materials Project: a geometry-optimized Li4Mn3Sn3Sb2O16 structure (GGA+U).

The structure in CIF format:
```
data_Li4Mn3Sn3Sb2O16
_cell_length_a 6.292
_cell_length_b 6.292
_cell_length_c 9.954
_cell_angle_alpha 91.01
_cell_angle_beta 91.01
_cell_angle_gamma 59.57
_symmetry_space_group_name_H-M 'P 1'
_symmetry_Int_Tables_number 1
loop_
_symmetry_equiv_pos_as_xyz
'x,y,z'
loop_
_atom_site_label
_atom_site_fract_x
_atom_site_fract_y
_atom_site_fract_z
Li1 0.000 0.000 0.000
Li2 0.001 0.001 0.514
Li3 0.332 0.332 0.596
Li4 0.667 0.667 0.086
Mn1 0.163 0.163 0.282
Mn2 0.332 0.820 0.785
Mn3 0.820 0.332 0.785
Sn1 0.162 0.654 0.282
Sn2 0.654 0.162 0.282
Sn3 0.821 0.821 0.781
Sb1 0.321 0.321 0.004
Sb2 0.651 0.651 0.514
O1 0.038 0.482 0.145
O2 0.160 0.648 0.905
O3 0.162 0.162 0.909
O4 0.330 0.819 0.400
O5 0.335 0.335 0.392
O6 0.475 0.475 0.148
O7 0.482 0.038 0.145
O8 0.513 0.513 0.639
O9 0.520 0.955 0.636
O10 0.648 0.160 0.905
O11 0.668 0.668 0.891
O12 0.819 0.330 0.400
O13 0.827 0.827 0.396
O14 0.955 0.520 0.636
O15 0.985 0.985 0.696
O16 0.988 0.988 0.186
```

Output
symmetry: Cm, No. 8
energy of formation from the pure elements: -2094 meV per atom
theoretical density: 5.12 g/cm³
total magnetic moment: 14.940 μB per formula unit

***

Record 4
Entry from Materials Project: a geometry-optimized Li4Mn3V2Sb3O16 structure (GGA+U).

The structure in CIF format:
```
data_Li4Mn3V2Sb3O16
_cell_length_a 6.121
_cell_length_b 6.232
_cell_length_c 9.760
_cell_angle_alpha 88.12
_cell_angle_beta 89.95
_cell_angle_gamma 60.60
_symmetry_space_group_name_H-M 'P 1'
_symmetry_Int_Tables_number 1
loop_
_symmetry_equiv_pos_as_xyz
'x,y,z'
loop_
_atom_site_label
_atom_site_fract_x
_atom_site_fract_y
_atom_site_fract_z
Li1 0.000 0.000 0.000
Li2 0.005 0.989 0.518
Li3 0.332 0.336 0.617
Li4 0.672 0.656 0.101
Mn1 0.162 0.676 0.290
Mn2 0.332 0.842 0.794
Mn3 0.827 0.841 0.794
V1 0.319 0.363 0.006
V2 0.643 0.715 0.530
Sb1 0.164 0.180 0.288
Sb2 0.656 0.180 0.288
Sb3 0.822 0.357 0.787
O1 0.042 0.474 0.158
O2 0.146 0.202 0.908
O3 0.158 0.683 0.909
O4 0.316 0.867 0.408
O5 0.336 0.328 0.403
O6 0.479 0.043 0.164
O7 0.484 0.475 0.158
O8 0.522 0.958 0.657
O9 0.525 0.521 0.653
O10 0.651 0.203 0.908
O11 0.664 0.673 0.896
O12 0.817 0.867 0.408
O13 0.836 0.328 0.397
O14 0.955 0.521 0.653
O15 0.988 0.025 0.185
O16 0.989 0.021 0.702
```

Output
symmetry: P1, No. 1
energy of formation from the pure elements: -2137 meV per atom
theoretical density: 4.69 g/cm³
total magnetic moment: 17.984 μB per formula unit

***

Record 5
Entry from Materials Project: a geometry-optimized Li4Mn3V2Sb3O16 structure (GGA+U).

The structure in CIF format:
```
data_Li4Mn3V2Sb3O16
_cell_length_a 6.152
_cell_length_b 6.245
_cell_length_c 9.817
_cell_angle_alpha 87.46
_cell_angle_beta 89.96
_cell_angle_gamma 60.84
_symmetry_space_group_name_H-M 'P 1'
_symmetry_Int_Tables_number 1
loop_
_symmetry_equiv_pos_as_xyz
'x,y,z'
loop_
_atom_site_label
_atom_site_fract_x
_atom_site_fract_y
_atom_site_fract_z
Li1 0.000 0.000 0.000
Li2 0.008 0.982 0.518
Li3 0.341 0.328 0.617
Li4 0.683 0.643 0.099
Mn1 0.170 0.666 0.289
Mn2 0.335 0.844 0.793
Mn3 0.832 0.834 0.793
V1 0.319 0.361 0.004
V2 0.653 0.707 0.530
Sb1 0.168 0.172 0.288
Sb2 0.662 0.173 0.287
Sb3 0.828 0.349 0.787
O1 0.043 0.463 0.161
O2 0.144 0.189 0.904
O3 0.146 0.682 0.914
O4 0.313 0.867 0.407
O5 0.347 0.311 0.401
O6 0.480 0.042 0.166
O7 0.498 0.468 0.162
O8 0.533 0.517 0.652
O9 0.545 0.958 0.658
O10 0.658 0.199 0.906
O11 0.686 0.657 0.896
O12 0.821 0.862 0.404
O13 0.844 0.314 0.397
O14 0.970 0.507 0.657
O15 0.977 0.021 0.700
O16 0.989 0.023 0.185
```

Output
symmetry: P1, No. 1
energy of formation from the pure elements: -2150 meV per atom
theoretical density: 4.62 g/cm³
total magnetic moment: 18.000 μB per formula unit

***

Record 6
Entry from Materials Project: a geometry-optimized Li4Mn3V3Sb2O16 structure (GGA+U).

The structure in CIF format:
```
data_Li4Mn3V3Sb2O16
_cell_length_a 5.936
_cell_length_b 6.068
_cell_length_c 9.791
_cell_angle_alpha 91.61
_cell_angle_beta 90.07
_cell_angle_gamma 119.28
_symmetry_space_group_name_H-M 'P 1'
_symmetry_Int_Tables_number 1
loop_
_symmetry_equiv_pos_as_xyz
'x,y,z'
loop_
_atom_site_label
_atom_site_fract_x
_atom_site_fract_y
_atom_site_fract_z
Li1 0.000 0.000 0.000
Li2 0.002 0.008 0.499
Li3 0.348 0.694 0.586
Li4 0.678 0.351 0.085
Mn1 0.173 0.346 0.278
Mn2 0.346 0.184 0.776
Mn3 0.840 0.184 0.776
V1 0.179 0.839 0.274
V2 0.657 0.838 0.270
V3 0.837 0.672 0.771
Sb1 0.339 0.676 0.000
Sb2 0.675 0.351 0.500
O1 0.008 0.014 0.688
O2 0.048 0.546 0.139
O3 0.167 0.333 0.898
O4 0.167 0.834 0.895
O5 0.336 0.166 0.398
O6 0.369 0.705 0.381
O7 0.499 0.979 0.143
O8 0.503 0.547 0.138
O9 0.533 0.064 0.645
O10 0.534 0.512 0.635
O11 0.668 0.832 0.894
O12 0.676 0.349 0.873
O13 0.829 0.168 0.397
O14 0.834 0.675 0.389
O15 0.979 0.514 0.634
O16 0.984 0.985 0.187
```

Output
symmetry: P1, No. 1
energy of formation from the pure elements: -2256 meV per atom
theoretical density: 4.56 g/cm³
total magnetic moment: 18.001 μB per formula unit